! Ba3LiTi5Nb3O21 (GGA-PBE, optimized geometry); values from VASP
&SYSTEM
  ibrav = 0, nat = 66, ntyp = 5
/
ATOMIC_SPECIES
Ba 137.33 Ba.upf
Li 6.94 Li.upf
Ti 47.87 Ti.upf
Nb 92.91 Nb.upf
O 16.00 O.upf
CELL_PARAMETERS angstrom
-4.3841 7.1819 -3.8225
-8.9850 -0.7451 -2.1745
-2.9210 3.9029 10.6102
ATOMIC_POSITIONS crystal
Ba 0.6014 0.4045 0.7477
Ba 0.3986 0.9992 0.7540
Ba 0.5979 0.9997 0.2429
Ba 0.9918 0.4018 0.2529
Ba 0.0041 0.5931 0.7437
Ba 0.4037 0.5961 0.2497
Li 0.0128 0.9978 0.7387
Li 0.9889 0.0085 0.2462
Ti 0.7457 0.2664 0.0909
Ti 0.7391 0.2580 0.4095
Ti 0.2682 0.7403 0.5908
Ti 0.6727 0.6547 0.4951
Ti 0.2488 0.0026 0.0866
Ti 0.9965 0.2600 0.9097
Ti 0.9863 0.2609 0.5900
Ti 0.7469 0.0169 0.9098
Ti 0.0041 0.7367 0.4102
Ti 0.2532 0.7471 0.9078
Nb 0.6596 0.6768 0.9946
Nb 0.2561 0.9949 0.4118
Nb 0.7466 0.9919 0.5887
Nb 0.3289 0.3363 0.5046
Nb 0.3378 0.3305 0.9996
Nb 0.0011 0.7456 0.0884
O 0.9969 0.2087 0.0712
O 0.6800 0.4871 0.1029
O 0.6868 0.4860 0.3993
O 0.8311 0.4838 0.6009
O 0.8332 0.4859 0.9008
O 0.2060 0.7879 0.0724
O 0.2182 0.7849 0.4296
O 0.4837 0.6878 0.8929
O 0.4883 0.6785 0.5991
O 0.4772 0.8325 0.0995
O 0.4907 0.8320 0.4006
O 0.1975 0.9960 0.2496
O 0.2050 0.9947 0.9286
O 0.2078 0.9937 0.5777
O 0.8281 0.6851 0.1085
O 0.8359 0.6826 0.4056
O 0.6841 0.8400 0.9054
O 0.6820 0.8292 0.6085
O 0.9957 0.2074 0.7514
O 0.0058 0.2037 0.4289
O 0.3213 0.1668 0.3967
O 0.3151 0.1627 0.1002
O 0.1655 0.3134 0.5989
O 0.1682 0.3142 0.8984
O 0.8061 0.9928 0.0705
O 0.7771 0.0109 0.4240
O 0.8060 0.0022 0.7518
O 0.5128 0.1711 0.6061
O 0.5184 0.1665 0.8951
O 0.5148 0.3238 0.4022
O 0.5202 0.3066 0.1023
O 0.7928 0.2115 0.2509
O 0.7834 0.2127 0.9287
O 0.7950 0.2087 0.5710
O 0.1690 0.5154 0.3964
O 0.1693 0.5096 0.1055
O 0.3228 0.5149 0.9041
O 0.3092 0.5171 0.6054
O 0.0071 0.7808 0.9225
O 0.9943 0.7985 0.5685
O 0.0001 0.8013 0.2536
O 0.2067 0.7911 0.7503
! space-group type = P1, No. 1
! total DFT energy (no corrections) = -8.40 eV/atom
! ΔH_f (0 K) = -322 kJ per mole of atoms